# Li2TiFe3O8

An optimized crystal structure of Li2TiFe3O8 (PBE with a Hubbard U, the Materials Project database).

Properties
crystal system	triclinic
ΔH_f (0 K)	-2.15	eV/atom
E above lowest polymorph	0.0047	eV/atom
total energy after the MP2020 corrections	-213.5	eV per cell

Lattice parameters (Å, degrees): 5.9873 6.0477 8.3870 89.95 89.92 88.41
Space group P1 (No. 1)
Unique sites:
Li1 0.0000 0.0000 0.0000 [1 per cell]
Li2 0.0096 0.5009 0.7623 [1 per cell]
Li3 0.4975 0.4973 0.4994 [1 per cell]
Li4 0.5115 0.0015 0.2628 [1 per cell]
Ti1 0.2548 0.5098 0.1304 [1 per cell]
Ti2 0.7599 0.0092 0.6327 [1 per cell]
Fe1 0.0021 0.7490 0.3834 [1 per cell]
Fe2 0.0075 0.2493 0.3787 [1 per cell]
Fe3 0.2573 0.9960 0.6309 [1 per cell]
Fe4 0.5023 0.2488 0.8833 [1 per cell]
Fe5 0.5079 0.7491 0.8785 [1 per cell]
Fe6 0.7525 0.4953 0.1317 [1 per cell]
O1 0.9998 0.2838 0.1354 [1 per cell]
O2 0.0118 0.2172 0.6268 [1 per cell]
O3 0.0169 0.7305 0.1401 [1 per cell]
O4 0.2290 0.4929 0.3652 [1 per cell]
O5 0.2359 0.9944 0.4033 [1 per cell]
O6 0.2766 0.0018 0.8596 [1 per cell]
O7 0.2794 0.5075 0.8963 [1 per cell]
O8 0.4914 0.2720 0.1234 [1 per cell]
O9 0.5024 0.7832 0.6354 [1 per cell]
O10 0.5094 0.7167 0.1267 [1 per cell]
O11 0.5183 0.2289 0.6402 [1 per cell]
O12 0.7310 0.9927 0.8661 [1 per cell]
O13 0.7346 0.4943 0.9034 [1 per cell]
O14 0.7750 0.5023 0.3599 [1 per cell]
O15 0.7806 0.0075 0.3974 [1 per cell]
O16 0.9935 0.7720 0.6238 [1 per cell]